Entry 1:
This record from the Materials Project database describes an optimized crystal structure of Al3P3H9C3NO14. The functional is PBE.

Properties
**DFT formation energy**: -1.943 eV per atom

Structure (CIF):
```
data_Al3P3H9C3NO14
_chemical_formula_sum 'Al6 P6 H18 C6 N2 O28'
_cell_length_a 9.123
_cell_length_b 9.123
_cell_length_c 8.781
_cell_angle_alpha 94.20
_cell_angle_beta 94.20
_cell_angle_gamma 87.68
_space_group_name_H-M_alt 'P 1'
_space_group_IT_number 1
loop_
_space_group_symop_operation_xyz
'x,y,z'
loop_
_atom_site_label
_atom_site_fract_x
_atom_site_fract_y
_atom_site_fract_z
Al1 0.020 0.980 0.500
Al2 0.234 0.500 0.789
Al3 0.500 0.234 0.289
Al4 0.528 0.744 0.299
Al5 0.744 0.528 0.799
Al6 0.980 0.020 0.000
P1 0.258 0.980 0.249
P2 0.472 0.499 0.532
P3 0.499 0.472 0.032
P4 0.748 0.997 0.250
P5 0.980 0.258 0.749
P6 0.997 0.748 0.750
H1 0.051 0.690 0.300
H2 0.105 0.638 0.111
H3 0.110 0.341 0.363
H4 0.201 0.562 0.273
H5 0.296 0.922 0.813
H6 0.341 0.110 0.863
H7 0.370 0.819 0.598
H8 0.450 0.963 0.943
H9 0.562 0.201 0.773
H10 0.618 0.724 0.980
H11 0.638 0.105 0.611
H12 0.690 0.051 0.800
H13 0.724 0.618 0.480
H14 0.746 0.796 0.901
H15 0.796 0.746 0.401
H16 0.819 0.370 0.098
H17 0.922 0.296 0.313
H18 0.963 0.450 0.443
C1 0.094 0.599 0.224
C2 0.386 0.997 0.840
C3 0.462 0.893 0.595
C4 0.599 0.094 0.724
C5 0.893 0.462 0.095
C6 0.997 0.386 0.340
N1 0.479 0.993 0.711
N2 0.993 0.479 0.211
O1 0.040 0.828 0.611
O2 0.116 0.353 0.754
O3 0.137 0.670 0.818
O4 0.142 0.990 0.113
O5 0.177 0.988 0.399
O6 0.339 0.471 0.958
O7 0.343 0.513 0.637
O8 0.349 0.837 0.233
O9 0.353 0.116 0.254
O10 0.443 0.608 0.408
O11 0.471 0.339 0.458
O12 0.513 0.343 0.137
O13 0.528 0.621 0.120
O14 0.545 0.881 0.485
O15 0.608 0.443 0.908
O16 0.621 0.528 0.620
O17 0.642 0.874 0.201
O18 0.664 0.728 0.881
O19 0.670 0.137 0.318
O20 0.728 0.664 0.381
O21 0.828 0.040 0.111
O22 0.837 0.349 0.733
O23 0.866 0.939 0.372
O24 0.874 0.642 0.701
O25 0.881 0.545 0.985
O26 0.939 0.866 0.872
O27 0.988 0.177 0.899
O28 0.990 0.142 0.613
```

Entry 2:
This record from the Materials Project database describes an optimized crystal structure of Al4P4H11C3NO18. The functional is PBE.

Properties
**DFT formation energy**: -1.932 eV per atom

Structure (CIF):
```
data_Al4P4H11C3NO18
_chemical_formula_sum 'Al8 P8 H22 C6 N2 O36'
_cell_length_a 9.708
_cell_length_b 9.852
_cell_length_c 10.750
_cell_angle_alpha 75.06
_cell_angle_beta 73.74
_cell_angle_gamma 89.03
_space_group_name_H-M_alt 'P 1'
_space_group_IT_number 1
loop_
_space_group_symop_operation_xyz
'x,y,z'
loop_
_atom_site_label
_atom_site_fract_x
_atom_site_fract_y
_atom_site_fract_z
Al1 0.000 0.022 0.131
Al2 0.000 0.978 0.869
Al3 0.276 0.510 0.079
Al4 0.289 0.234 0.839
Al5 0.452 0.177 0.341
Al6 0.548 0.823 0.659
Al7 0.711 0.766 0.161
Al8 0.724 0.490 0.921
P1 0.029 0.725 0.093
P2 0.269 0.185 0.139
P3 0.300 0.036 0.651
P4 0.468 0.506 0.794
P5 0.532 0.494 0.206
P6 0.700 0.964 0.349
P7 0.731 0.815 0.861
P8 0.971 0.275 0.907
H1 0.000 0.418 0.388
H2 0.000 0.582 0.612
H3 0.012 0.788 0.424
H4 0.025 0.151 0.430
H5 0.050 0.730 0.756
H6 0.105 0.567 0.776
H7 0.151 0.874 0.457
H8 0.202 0.572 0.413
H9 0.209 0.980 0.963
H10 0.223 0.705 0.696
H11 0.259 0.501 0.559
H12 0.318 0.675 0.458
H13 0.682 0.325 0.542
H14 0.741 0.499 0.441
H15 0.777 0.295 0.304
H16 0.791 0.020 0.037
H17 0.798 0.428 0.587
H18 0.849 0.126 0.543
H19 0.895 0.433 0.224
H20 0.950 0.270 0.244
H21 0.975 0.849 0.570
H22 0.988 0.212 0.576
C1 0.057 0.800 0.504
C2 0.094 0.657 0.578
C3 0.226 0.598 0.498
C4 0.774 0.402 0.502
C5 0.906 0.343 0.422
C6 0.943 0.200 0.496
N1 0.120 0.665 0.710
N2 0.880 0.335 0.290
O1 0.057 0.792 0.940
O2 0.067 0.833 0.163
O3 0.115 0.593 0.119
O4 0.131 0.332 0.838
O5 0.136 0.051 0.947
O6 0.139 0.080 0.197
O7 0.139 0.999 0.708
O8 0.217 0.332 0.153
O9 0.324 0.856 0.017
O10 0.332 0.104 0.498
O11 0.344 0.196 0.989
O12 0.346 0.548 0.904
O13 0.354 0.137 0.717
O14 0.380 0.897 0.672
O15 0.381 0.143 0.218
O16 0.405 0.548 0.151
O17 0.412 0.391 0.746
O18 0.482 0.359 0.322
O19 0.518 0.641 0.678
O20 0.588 0.609 0.254
O21 0.595 0.452 0.849
O22 0.619 0.857 0.782
O23 0.620 0.103 0.328
O24 0.646 0.863 0.283
O25 0.654 0.452 0.096
O26 0.656 0.804 0.011
O27 0.668 0.896 0.502
O28 0.676 0.144 0.983
O29 0.783 0.668 0.847
O30 0.861 0.001 0.292
O31 0.861 0.920 0.803
O32 0.864 0.949 0.053
O33 0.869 0.668 0.162
O34 0.885 0.407 0.881
O35 0.933 0.167 0.837
O36 0.943 0.208 0.060
```

Entry 3:
This record from the Materials Project database describes an optimized crystal structure of AlH18CS2N3O14. The functional is PBE.

Properties
**DFT formation energy**: -1.336 eV per atom

Structure (CIF):
```
data_AlH18CS2N3O14
_chemical_formula_sum 'Al3 H54 C3 S6 N9 O42'
_cell_length_a 11.826
_cell_length_b 11.826
_cell_length_c 9.080
_cell_angle_alpha 90.00
_cell_angle_beta 90.00
_cell_angle_gamma 120.00
_space_group_name_H-M_alt 'P 1'
_space_group_IT_number 1
loop_
_space_group_symop_operation_xyz
'x,y,z'
loop_
_atom_site_label
_atom_site_fract_x
_atom_site_fract_y
_atom_site_fract_z
Al1 0.000 0.000 0.000
Al2 0.333 0.667 0.061
Al3 0.667 0.333 0.061
H1 0.080 0.205 0.168
H2 0.082 0.872 0.843
H3 0.086 0.199 0.505
H4 0.113 0.914 0.505
H5 0.122 0.583 0.900
H6 0.125 0.920 0.168
H7 0.126 0.544 0.220
H8 0.128 0.209 0.843
H9 0.133 0.568 0.555
H10 0.199 0.086 0.505
H11 0.201 0.456 0.215
H12 0.205 0.080 0.168
H13 0.206 0.737 0.558
H14 0.209 0.128 0.843
H15 0.209 0.744 0.894
H16 0.255 0.799 0.215
H17 0.256 0.465 0.894
H18 0.263 0.469 0.558
H19 0.417 0.539 0.900
H20 0.419 0.874 0.220
H21 0.432 0.565 0.555
H22 0.435 0.867 0.555
H23 0.456 0.201 0.215
H24 0.456 0.581 0.220
H25 0.461 0.878 0.900
H26 0.465 0.256 0.894
H27 0.469 0.263 0.558
H28 0.531 0.794 0.558
H29 0.535 0.791 0.894
H30 0.539 0.417 0.900
H31 0.544 0.126 0.220
H32 0.544 0.745 0.215
H33 0.565 0.432 0.555
H34 0.568 0.133 0.555
H35 0.581 0.456 0.220
H36 0.583 0.122 0.900
H37 0.737 0.206 0.558
H38 0.744 0.209 0.894
H39 0.745 0.544 0.215
H40 0.791 0.535 0.894
H41 0.791 0.918 0.843
H42 0.794 0.531 0.558
H43 0.795 0.875 0.168
H44 0.799 0.255 0.215
H45 0.801 0.887 0.505
H46 0.867 0.435 0.555
H47 0.872 0.082 0.843
H48 0.874 0.419 0.220
H49 0.875 0.795 0.168
H50 0.878 0.461 0.900
H51 0.887 0.801 0.505
H52 0.914 0.113 0.505
H53 0.918 0.791 0.843
H54 0.920 0.125 0.168
C1 0.000 0.000 0.509
C2 0.333 0.667 0.556
C3 0.667 0.333 0.556
S1 0.000 0.345 0.759
S2 0.000 0.681 0.316
S3 0.319 0.319 0.316
S4 0.345 0.000 0.759
S5 0.655 0.655 0.759
S6 0.681 0.000 0.316
N1 0.000 0.113 0.510
N2 0.113 0.000 0.510
N3 0.216 0.657 0.556
N4 0.343 0.559 0.556
N5 0.441 0.784 0.556
N6 0.559 0.343 0.556
N7 0.657 0.216 0.556
N8 0.784 0.441 0.556
N9 0.887 0.887 0.510
O1 0.000 0.134 0.118
O2 0.000 0.373 0.600
O3 0.000 0.452 0.850
O4 0.000 0.556 0.287
O5 0.000 0.703 0.477
O6 0.000 0.867 0.883
O7 0.119 0.792 0.247
O8 0.120 0.339 0.798
O9 0.133 0.133 0.883
O10 0.134 0.000 0.118
O11 0.198 0.665 0.944
O12 0.200 0.536 0.179
O13 0.208 0.327 0.247
O14 0.219 0.880 0.798
O15 0.297 0.297 0.477
O16 0.327 0.208 0.247
O17 0.335 0.533 0.944
O18 0.336 0.800 0.179
O19 0.339 0.120 0.798
O20 0.373 0.000 0.600
O21 0.444 0.444 0.287
O22 0.452 0.000 0.850
O23 0.464 0.664 0.179
O24 0.467 0.802 0.944
O25 0.533 0.335 0.944
O26 0.536 0.200 0.179
O27 0.548 0.548 0.850
O28 0.556 0.000 0.287
O29 0.627 0.627 0.600
O30 0.661 0.781 0.798
O31 0.664 0.464 0.179
O32 0.665 0.198 0.944
O33 0.673 0.881 0.247
O34 0.703 0.000 0.477
O35 0.781 0.661 0.798
O36 0.792 0.119 0.247
O37 0.800 0.336 0.179
O38 0.802 0.467 0.944
O39 0.866 0.866 0.118
O40 0.867 0.000 0.883
O41 0.880 0.219 0.798
O42 0.881 0.673 0.247
```

Respective calculated total energy values: -6.60 -6.49 -5.62 eV per atom.
Respective spin magnetization values: 0.00 2.00 0.00 μB per formula unit.
Respective density values: 2.1 2.0 1.8 g/cm3.